Entry 1:
Below is an optimized crystal structure of Co2PH2CO7, with properties calculated at the GGA+U level.

Computed properties:
Its space group is No. 14. As for the crystal system: monoclinic. Its energy is -341.2 eV/cell.

```
data_Co2PH2CO7
_chemical_formula_sum 'Co8 P4 H8 C4 O28'
_symmetry_space_group_name_H-M 'P 1'
_symmetry_Int_Tables_number 1
_cell_length_a 4.8320
_cell_length_b 7.9784
_cell_length_c 15.5452
_cell_angle_alpha 65.35
_cell_angle_beta 90.00
_cell_angle_gamma 90.00
loop_
_symmetry_equiv_pos_as_xyz
'x,y,z'
loop_
_atom_site_label
_atom_site_type_symbol
_atom_site_fract_x
_atom_site_fract_y
_atom_site_fract_z
Co1 Co 0.4696 0.0590 0.1396
Co2 Co 0.0304 0.0590 0.6396
Co3 Co 0.5304 0.9410 0.8604
Co4 Co 0.9696 0.9410 0.3604
Co5 Co 0.5390 0.3908 0.6953
Co6 Co 0.0390 0.6092 0.8047
Co7 Co 0.4610 0.6092 0.3047
Co8 Co 0.9610 0.3908 0.1953
P1 P 0.9798 0.1955 0.8070
P2 P 0.4798 0.8045 0.6930
P3 P 0.0202 0.8045 0.1930
P4 P 0.5202 0.1955 0.3070
H1 H 0.2542 0.8685 0.0217
H2 H 0.7542 0.1315 0.4783
H3 H 0.7458 0.1315 0.9783
H4 H 0.2458 0.8685 0.5217
H5 H 0.4920 0.7181 0.0314
H6 H 0.9920 0.2819 0.4686
H7 H 0.0080 0.7181 0.5314
H8 H 0.5080 0.2819 0.9686
C1 C 0.3804 0.4316 0.5079
C2 C 0.8804 0.5684 0.9921
C3 C 0.6196 0.5684 0.4921
C4 C 0.1196 0.4316 0.0079
O1 O 0.8647 0.0486 0.9010
O2 O 0.6998 0.8107 0.1961
O3 O 0.8002 0.8107 0.6961
O4 O 0.3002 0.1893 0.8039
O5 O 0.6353 0.0486 0.4010
O6 O 0.1353 0.9514 0.0990
O7 O 0.3647 0.9514 0.5990
O8 O 0.1998 0.1893 0.3039
O9 O 0.6612 0.1534 0.2265
O10 O 0.1612 0.8466 0.2735
O11 O 0.3388 0.8466 0.7735
O12 O 0.8388 0.1534 0.7265
O13 O 0.6293 0.3924 0.2864
O14 O 0.1293 0.6076 0.2136
O15 O 0.2678 0.4298 0.4348
O16 O 0.8707 0.3924 0.7864
O17 O 0.1482 0.8028 0.4879
O18 O 0.6482 0.1972 0.0121
O19 O 0.8518 0.1972 0.5121
O20 O 0.3518 0.8028 0.9879
O21 O 0.1871 0.3318 0.0934
O22 O 0.6871 0.6682 0.4066
O23 O 0.8129 0.6682 0.9066
O24 O 0.3129 0.3318 0.5934
O25 O 0.2322 0.4298 0.9348
O26 O 0.7322 0.5702 0.5652
O27 O 0.7678 0.5702 0.0652
O28 O 0.3707 0.6076 0.7136
```

---

Entry 2:
Below is an optimized crystal structure of CoPH3CO4, with properties calculated at the GGA+U level.

Computed properties:
Its space group is No. 33. As for the crystal system: orthorhombic. Its energy is -231.8 eV/cell.

```
data_CoPH3CO4
_chemical_formula_sum 'Co4 P4 H12 C4 O16'
_symmetry_space_group_name_H-M 'P 1'
_symmetry_Int_Tables_number 1
_cell_length_a 4.8124
_cell_length_b 5.7065
_cell_length_c 17.4251
_cell_angle_alpha 90.00
_cell_angle_beta 90.00
_cell_angle_gamma 90.00
loop_
_symmetry_equiv_pos_as_xyz
'x,y,z'
loop_
_atom_site_label
_atom_site_type_symbol
_atom_site_fract_x
_atom_site_fract_y
_atom_site_fract_z
Co1 Co 0.1382 0.1960 0.2663
Co2 Co 0.8618 0.6960 0.7337
Co3 Co 0.6382 0.6960 0.2337
Co4 Co 0.3618 0.1960 0.7663
P1 P 0.1995 0.6967 0.3416
P2 P 0.8005 0.1967 0.6584
P3 P 0.6995 0.1967 0.1584
P4 P 0.3005 0.6967 0.8416
H1 H 0.2065 0.8468 0.4707
H2 H 0.7935 0.3468 0.5293
H3 H 0.7065 0.3468 0.0293
H4 H 0.2935 0.8468 0.9707
H5 H 0.5137 0.6852 0.4473
H6 H 0.4863 0.1852 0.5527
H7 H 0.0137 0.1852 0.0527
H8 H 0.9863 0.6852 0.9473
H9 H 0.1976 0.5338 0.4681
H10 H 0.8024 0.0338 0.5319
H11 H 0.6976 0.0338 0.0319
H12 H 0.3024 0.5338 0.9681
C1 C 0.2874 0.6908 0.4417
C2 C 0.7126 0.1908 0.5583
C3 C 0.7874 0.1908 0.0583
C4 C 0.2126 0.6908 0.9417
O1 O 0.3481 0.4834 0.3013
O2 O 0.6519 0.9834 0.6987
O3 O 0.8481 0.9834 0.1987
O4 O 0.1519 0.4834 0.8013
O5 O 0.3508 0.9101 0.3020
O6 O 0.6492 0.4101 0.6980
O7 O 0.8508 0.4101 0.1980
O8 O 0.1492 0.9101 0.8020
O9 O 0.8870 0.6989 0.3309
O10 O 0.1130 0.1989 0.6691
O11 O 0.3870 0.1989 0.1691
O12 O 0.6130 0.6989 0.8309
O13 O 0.9160 0.1938 0.3446
O14 O 0.0840 0.6938 0.6554
O15 O 0.4160 0.6938 0.1554
O16 O 0.5840 0.1938 0.8446
```

---

Entry 3:
Below is an optimized crystal structure of CoH18C6SO10, with properties calculated at the GGA+U level.

Computed properties:
Its space group is No. 14. As for the crystal system: monoclinic. Its energy is -751.5 eV/cell.

```
data_CoH18C6SO10
_chemical_formula_sum 'Co4 H72 C24 S4 O40'
_symmetry_space_group_name_H-M 'P 1'
_symmetry_Int_Tables_number 1
_cell_length_a 7.9400
_cell_length_b 9.4132
_cell_length_c 20.8855
_cell_angle_alpha 80.19
_cell_angle_beta 90.00
_cell_angle_gamma 90.00
loop_
_symmetry_equiv_pos_as_xyz
'x,y,z'
loop_
_atom_site_label
_atom_site_type_symbol
_atom_site_fract_x
_atom_site_fract_y
_atom_site_fract_z
Co1 Co 0.6194 0.7895 0.8742
Co2 Co 0.1194 0.2105 0.6258
Co3 Co 0.3806 0.2105 0.1258
Co4 Co 0.8806 0.7895 0.3742
H1 H 0.7823 0.7891 0.7405
H2 H 0.2823 0.2109 0.7595
H3 H 0.2177 0.2109 0.2595
H4 H 0.7177 0.7891 0.2405
H5 H 0.8717 0.9515 0.5399
H6 H 0.3717 0.0485 0.9601
H7 H 0.1283 0.0485 0.4601
H8 H 0.6283 0.9515 0.0399
H9 H 0.8665 0.7920 0.0013
H10 H 0.3665 0.2080 0.4987
H11 H 0.1335 0.2080 0.9987
H12 H 0.6335 0.7920 0.5013
H13 H 0.9905 0.9000 0.6586
H14 H 0.4905 0.1000 0.8414
H15 H 0.0095 0.1000 0.3414
H16 H 0.5095 0.9000 0.1586
H17 H 0.2518 0.2853 0.8205
H18 H 0.7518 0.7147 0.6795
H19 H 0.7482 0.7147 0.1795
H20 H 0.2482 0.2853 0.3205
H21 H 0.4787 0.7315 0.0238
H22 H 0.9787 0.2685 0.4762
H23 H 0.5213 0.2685 0.9762
H24 H 0.0213 0.7315 0.5238
H25 H 0.2616 0.5560 0.7035
H26 H 0.7616 0.4440 0.7965
H27 H 0.7384 0.4440 0.2965
H28 H 0.2384 0.5560 0.2035
H29 H 0.9416 0.5707 0.7902
H30 H 0.4416 0.4293 0.7098
H31 H 0.0584 0.4293 0.2098
H32 H 0.5584 0.5707 0.2902
H33 H 0.2740 0.5842 0.5796
H34 H 0.7740 0.4158 0.9204
H35 H 0.7260 0.4158 0.4204
H36 H 0.2260 0.5842 0.0796
H37 H 0.9613 0.5387 0.9128
H38 H 0.4613 0.4613 0.5872
H39 H 0.0387 0.4613 0.0872
H40 H 0.5387 0.5387 0.4128
H41 H 0.2218 0.9346 0.5645
H42 H 0.7218 0.0654 0.9355
H43 H 0.7782 0.0654 0.4355
H44 H 0.2782 0.9346 0.0645
H45 H 0.4374 0.9235 0.5941
H46 H 0.9374 0.0765 0.9059
H47 H 0.5626 0.0765 0.4059
H48 H 0.0626 0.9235 0.0941
H49 H 0.4418 0.0062 0.7092
H50 H 0.9418 0.9938 0.7908
H51 H 0.5582 0.9938 0.2908
H52 H 0.0582 0.0062 0.2092
H53 H 0.2596 0.8083 0.6869
H54 H 0.7596 0.1917 0.8131
H55 H 0.7404 0.1917 0.3131
H56 H 0.2404 0.8083 0.1869
H57 H 0.1337 0.7343 0.8338
H58 H 0.6337 0.2657 0.6662
H59 H 0.8663 0.2657 0.1662
H60 H 0.3663 0.7343 0.3338
H61 H 0.2673 0.9002 0.8200
H62 H 0.7673 0.0998 0.6800
H63 H 0.7327 0.0998 0.1800
H64 H 0.2327 0.9002 0.3200
H65 H 0.2165 0.8506 0.9468
H66 H 0.7165 0.1494 0.5532
H67 H 0.7835 0.1494 0.0532
H68 H 0.2835 0.8506 0.4468
H69 H 0.2320 0.6634 0.9443
H70 H 0.7320 0.3366 0.5557
H71 H 0.7680 0.3366 0.0557
H72 H 0.2680 0.6634 0.4443
C1 C 0.8385 0.5172 0.8197
C2 C 0.3385 0.4828 0.6803
C3 C 0.1615 0.4828 0.1803
C4 C 0.6615 0.5172 0.3197
C5 C 0.8494 0.4995 0.8908
C6 C 0.3494 0.5005 0.6092
C7 C 0.1506 0.5005 0.1092
C8 C 0.6506 0.4995 0.3908
C9 C 0.8111 0.0330 0.9001
C10 C 0.3111 0.9670 0.5999
C11 C 0.1889 0.9670 0.0999
C12 C 0.6889 0.0330 0.4001
C13 C 0.7432 0.0749 0.8304
C14 C 0.2432 0.9251 0.6696
C15 C 0.2568 0.9251 0.1696
C16 C 0.7568 0.0749 0.3304
C17 C 0.2295 0.8010 0.8517
C18 C 0.7295 0.1990 0.6483
C19 C 0.7705 0.1990 0.1483
C20 C 0.2705 0.8010 0.3517
C21 C 0.2780 0.7706 0.9214
C22 C 0.7780 0.2294 0.5786
C23 C 0.7220 0.2294 0.0786
C24 C 0.2220 0.7706 0.4214
S1 S 0.8151 0.6127 0.5779
S2 S 0.3151 0.3873 0.9221
S3 S 0.1849 0.3873 0.4221
S4 S 0.6849 0.6127 0.0779
O1 O 0.7428 0.6122 0.8543
O2 O 0.2428 0.3878 0.6457
O3 O 0.2572 0.3878 0.1457
O4 O 0.7572 0.6122 0.3543
O5 O 0.9393 0.8193 0.9591
O6 O 0.4393 0.1807 0.5409
O7 O 0.0607 0.1807 0.0409
O8 O 0.5607 0.8193 0.4591
O9 O 0.8206 0.8784 0.9090
O10 O 0.3206 0.1216 0.5910
O11 O 0.1794 0.1216 0.0910
O12 O 0.6794 0.8784 0.4090
O13 O 0.8185 0.9929 0.7872
O14 O 0.3185 0.0071 0.7128
O15 O 0.1815 0.0071 0.2128
O16 O 0.6815 0.9929 0.2872
O17 O 0.5718 0.0314 0.8270
O18 O 0.0718 0.9686 0.6730
O19 O 0.4282 0.9686 0.1730
O20 O 0.9282 0.0314 0.3270
O21 O 0.4542 0.7776 0.9349
O22 O 0.9542 0.2224 0.5651
O23 O 0.5458 0.2224 0.0651
O24 O 0.0458 0.7776 0.4349
O25 O 0.7478 0.8086 0.6949
O26 O 0.2478 0.1914 0.8051
O27 O 0.2522 0.1914 0.3051
O28 O 0.7522 0.8086 0.1949
O29 O 0.0091 0.6909 0.5713
O30 O 0.5091 0.3091 0.9287
O31 O 0.9909 0.3091 0.4287
O32 O 0.4909 0.6909 0.0713
O33 O 0.8091 0.5536 0.6489
O34 O 0.3091 0.4464 0.8511
O35 O 0.1909 0.4464 0.3511
O36 O 0.6909 0.5536 0.1489
O37 O 0.6994 0.7437 0.5658
O38 O 0.1994 0.2563 0.9342
O39 O 0.3006 0.2563 0.4342
O40 O 0.8006 0.7437 0.0658
```

---

Entry 4:
Below is an optimized crystal structure of CoH9C6S6O3, with properties calculated at the GGA+U level.

Computed properties:
Its space group is No. 14. As for the crystal system: monoclinic. Its energy is -545.0 eV/cell.

```
data_CoH9C6S6O3
_chemical_formula_sum 'Co4 H36 C24 S24 O12'
_symmetry_space_group_name_H-M 'P 1'
_symmetry_Int_Tables_number 1
_cell_length_a 13.6306
_cell_length_b 9.6628
_cell_length_c 12.8104
_cell_angle_alpha 59.91
_cell_angle_beta 90.00
_cell_angle_gamma 90.00
loop_
_symmetry_equiv_pos_as_xyz
'x,y,z'
loop_
_atom_site_label
_atom_site_type_symbol
_atom_site_fract_x
_atom_site_fract_y
_atom_site_fract_z
Co1 Co 0.4903 0.4092 0.2659
Co2 Co 0.5097 0.5908 0.7341
Co3 Co 0.0097 0.4092 0.7659
Co4 Co 0.9903 0.5908 0.2341
H1 H 0.1304 0.0867 0.2801
H2 H 0.6947 0.3837 0.5772
H3 H 0.8696 0.9133 0.7199
H4 H 0.2283 0.7432 0.4541
H5 H 0.1749 0.2462 0.4868
H6 H 0.6572 0.1822 0.6230
H7 H 0.7500 0.9256 0.4177
H8 H 0.7500 0.9256 0.9177
H9 H 0.8651 0.9524 0.4727
H10 H 0.2500 0.0744 0.0823
H11 H 0.3251 0.2462 0.9868
H12 H 0.2500 0.0744 0.5823
H13 H 0.6304 0.9133 0.2199
H14 H 0.5386 0.0607 0.1963
H15 H 0.1947 0.6163 0.9228
H16 H 0.3428 0.8178 0.3770
H17 H 0.0386 0.9393 0.3037
H18 H 0.3651 0.0476 0.0273
H19 H 0.0382 0.1301 0.1668
H20 H 0.9618 0.8699 0.8332
H21 H 0.8428 0.1822 0.1230
H22 H 0.8251 0.7538 0.5132
H23 H 0.3053 0.6163 0.4228
H24 H 0.2717 0.7432 0.9541
H25 H 0.3696 0.0867 0.7801
H26 H 0.1572 0.8178 0.8770
H27 H 0.4618 0.1301 0.6668
H28 H 0.7717 0.2568 0.5459
H29 H 0.9614 0.0607 0.6963
H30 H 0.6749 0.7538 0.0132
H31 H 0.8053 0.3837 0.0772
H32 H 0.4614 0.9393 0.8037
H33 H 0.6349 0.9524 0.9727
H34 H 0.1349 0.0476 0.5273
H35 H 0.5382 0.8699 0.3332
H36 H 0.7283 0.2568 0.0459
C1 C 0.2805 0.7392 0.3905
C2 C 0.0079 0.7225 0.7079
C3 C 0.8237 0.7700 0.1427
C4 C 0.4459 0.0670 0.7638
C5 C 0.6982 0.8732 0.9932
C6 C 0.0541 0.0670 0.2638
C7 C 0.8018 0.8732 0.4932
C8 C 0.6556 0.2717 0.2364
C9 C 0.3444 0.7283 0.7636
C10 C 0.1763 0.2300 0.8573
C11 C 0.5541 0.9330 0.2362
C12 C 0.3237 0.2300 0.3573
C13 C 0.1982 0.1268 0.5068
C14 C 0.7805 0.2608 0.1095
C15 C 0.9921 0.2775 0.2921
C16 C 0.4921 0.7225 0.2079
C17 C 0.2195 0.7392 0.8905
C18 C 0.8444 0.2717 0.7364
C19 C 0.1556 0.7283 0.2636
C20 C 0.3018 0.1268 0.0068
C21 C 0.7195 0.2608 0.6095
C22 C 0.5079 0.2775 0.7921
C23 C 0.9459 0.9330 0.7362
C24 C 0.6763 0.7700 0.6427
S1 S 0.9008 0.4329 0.6230
S2 S 0.3795 0.2620 0.2291
S3 S 0.9162 0.3523 0.3560
S4 S 0.5992 0.4329 0.1230
S5 S 0.1188 0.3260 0.9200
S6 S 0.6188 0.6740 0.5800
S7 S 0.6205 0.7380 0.7709
S8 S 0.4008 0.5671 0.8770
S9 S 0.4322 0.4184 0.6888
S10 S 0.8795 0.7380 0.2709
S11 S 0.0838 0.6477 0.6440
S12 S 0.5974 0.2042 0.3701
S13 S 0.9026 0.2042 0.8701
S14 S 0.1205 0.2620 0.7291
S15 S 0.8812 0.6740 0.0800
S16 S 0.5838 0.3523 0.8560
S17 S 0.9322 0.5816 0.8112
S18 S 0.4162 0.6477 0.1440
S19 S 0.0992 0.5671 0.3770
S20 S 0.0974 0.7958 0.1299
S21 S 0.0678 0.4184 0.1888
S22 S 0.5678 0.5816 0.3112
S23 S 0.4026 0.7958 0.6299
S24 S 0.3812 0.3260 0.4200
O1 O 0.0113 0.8768 0.6754
O2 O 0.7652 0.1975 0.7277
O3 O 0.7348 0.1975 0.2277
O4 O 0.7558 0.8612 0.6004
O5 O 0.2348 0.8025 0.2723
O6 O 0.5113 0.1232 0.8246
O7 O 0.9887 0.1232 0.3246
O8 O 0.2652 0.8025 0.7723
O9 O 0.7442 0.8612 0.1004
O10 O 0.4887 0.8768 0.1754
O11 O 0.2442 0.1388 0.3996
O12 O 0.2558 0.1388 0.8996
```

---

Entry 5:
Below is an optimized crystal structure of Co2HgC8O8, with properties calculated at the GGA+U level.

Computed properties:
Its space group is No. 14. As for the crystal system: monoclinic. Its energy is -536.6 eV/cell.

```
data_Co2HgC8O8
_chemical_formula_sum 'Co8 Hg4 C32 O32'
_symmetry_space_group_name_H-M 'P 1'
_symmetry_Int_Tables_number 1
_cell_length_a 6.6319
_cell_length_b 16.6089
_cell_length_c 12.5252
_cell_angle_alpha 90.00
_cell_angle_beta 100.48
_cell_angle_gamma 90.00
loop_
_symmetry_equiv_pos_as_xyz
'x,y,z'
loop_
_atom_site_label
_atom_site_type_symbol
_atom_site_fract_x
_atom_site_fract_y
_atom_site_fract_z
Co1 Co 0.4150 0.8016 0.5621
Co2 Co 0.5850 0.3016 0.9379
Co3 Co 0.5850 0.1984 0.4379
Co4 Co 0.4150 0.6984 0.0621
Co5 Co 0.8226 0.5445 0.6891
Co6 Co 0.1774 0.0445 0.8109
Co7 Co 0.1774 0.4555 0.3109
Co8 Co 0.8226 0.9555 0.1891
Hg1 Hg 0.6161 0.6721 0.6224
Hg2 Hg 0.3839 0.1721 0.8776
Hg3 Hg 0.3839 0.3279 0.3776
Hg4 Hg 0.6161 0.8279 0.1224
C1 C 0.2800 0.8906 0.5178
C2 C 0.7200 0.3906 0.9822
C3 C 0.7200 0.1094 0.4822
C4 C 0.2800 0.6094 0.0178
C5 C 0.4556 0.8192 0.7046
C6 C 0.5444 0.3192 0.7954
C7 C 0.5444 0.1808 0.2954
C8 C 0.4556 0.6808 0.2046
C9 C 0.2223 0.7315 0.5058
C10 C 0.7777 0.2315 0.9942
C11 C 0.7777 0.2685 0.4942
C12 C 0.2223 0.7685 0.0058
C13 C 0.6258 0.8176 0.4950
C14 C 0.3742 0.3176 0.0050
C15 C 0.3742 0.1824 0.5050
C16 C 0.6258 0.6824 0.9950
C17 C 0.0158 0.6177 0.7310
C18 C 0.9842 0.1177 0.7690
C19 C 0.9842 0.3823 0.2690
C20 C 0.0158 0.8823 0.2310
C21 C 0.6167 0.5335 0.7610
C22 C 0.3833 0.0335 0.7390
C23 C 0.3833 0.4665 0.2390
C24 C 0.6167 0.9665 0.2610
C25 C 0.7703 0.5184 0.5494
C26 C 0.2297 0.0184 0.9506
C27 C 0.2297 0.4816 0.4506
C28 C 0.7703 0.9816 0.0494
C29 C 0.9641 0.4584 0.7406
C30 C 0.0359 0.9584 0.7594
C31 C 0.0359 0.5416 0.2594
C32 C 0.9641 0.0416 0.2406
O1 O 0.1928 0.9492 0.4884
O2 O 0.8072 0.4492 0.0116
O3 O 0.8072 0.0508 0.5116
O4 O 0.1928 0.5508 0.9884
O5 O 0.4787 0.8339 0.7966
O6 O 0.5213 0.3339 0.7034
O7 O 0.5213 0.1661 0.2034
O8 O 0.4787 0.6661 0.2966
O9 O 0.0916 0.6880 0.4681
O10 O 0.9084 0.1880 0.0319
O11 O 0.9084 0.3120 0.5319
O12 O 0.0916 0.8120 0.9681
O13 O 0.7602 0.8306 0.4497
O14 O 0.2398 0.3306 0.0503
O15 O 0.2398 0.1694 0.5503
O16 O 0.7602 0.6694 0.9497
O17 O 0.1478 0.6632 0.7590
O18 O 0.8522 0.1632 0.7410
O19 O 0.8522 0.3368 0.2410
O20 O 0.1478 0.8368 0.2590
O21 O 0.4843 0.5231 0.8086
O22 O 0.5157 0.0231 0.6914
O23 O 0.5157 0.4769 0.1914
O24 O 0.4843 0.9769 0.3086
O25 O 0.7387 0.4983 0.4591
O26 O 0.2613 0.9983 0.0409
O27 O 0.2613 0.5017 0.5409
O28 O 0.7387 0.0017 0.9591
O29 O 0.0542 0.4016 0.7750
O30 O 0.9458 0.9016 0.7250
O31 O 0.9458 0.5984 0.2250
O32 O 0.0542 0.0984 0.2750
```

---

Number 1: magnetic moment 24.00 Bohr magnetons per cell. Number 2: magnetic moment 11.99 Bohr magnetons per cell. Number 3: magnetic moment 20.03 Bohr magnetons per cell. Number 4: magnetic moment 0.00 Bohr magnetons per cell. Number 5: magnetic moment 0.16 Bohr magnetons per cell.